RbAlP2H2O8 | PBE-GGA | optimized geometry

Its energy of formation is -249 kJ/mol of atoms.

The structure belongs to space group R-3c (No. 167, hexagonal axes); the cell edges are 8.2353, 8.2353 and 51.5324 Å and the angles 90.00°, 90.00° and 120.00°. The asymmetric unit holds Rb at (0.0000, 0.0000, 0.1666), Rb at (0.0000, 0.0000, 0.2500), Al at (0.0000, 0.0000, 0.0000), Al at (0.0000, 0.0000, 0.0877), P at (0.0342, 0.4288, 0.2129), H at (0.0280, 0.4826, 0.0452), O at (0.0512, 0.4602, 0.9603), O at (0.0567, 0.2119, 0.9331), O at (0.0747, 0.2128, 0.1109) and O at (0.0846, 0.2196, 0.5208).

Sm2Si5Pd3 | PBE-GGA | optimized geometry

Its energy of formation is -80 kJ/mol of atoms.

The structure belongs to space group Ibam (No. 72); the cell edges are 9.986, 11.732 and 5.970 Å and the angles 90.00°, 90.00° and 90.00°. The asymmetric unit holds Sm at (0.233, 0.129, 0.000), Si at (0.000, 0.000, 0.250), Si at (0.000, 0.275, 0.250), Si at (0.151, 0.386, 0.000), Pd at (0.000, 0.500, 0.250) and Pd at (0.109, 0.138, 0.500).

Na2Se | PBE-GGA | optimized geometry

Its energy of formation is -118 kJ/mol of atoms.

The structure belongs to space group Fm-3m (No. 225); the cell edges are 6.853, 6.853 and 6.853 Å and the angles 90.00°, 90.00° and 90.00°. The asymmetric unit holds Na at (0.250, 0.250, 0.250) and Se at (0.000, 0.000, 0.000).